Record 1
The following is a PBE calculation of Cr9In7S24 after structural relaxation, from the Materials Project.

Properties
Calculated formation energy in eV/atom: -0.923
Volume in Å³ per cell: 843.0
Density in g/cm³: 4.0

Geometry as extended XYZ:
```
40
Lattice="6.340 -11.069 0.000 6.340 11.069 0.000 -4.157 0.000 6.006" Properties=species:S:1:pos:R:3 pbc="T T T"
Cr 0.000 0.000 0.000
Cr 3.090 1.815 0.076
Cr 3.090 -1.815 0.076
Cr 4.217 3.692 3.165
Cr 6.366 3.682 0.078
Cr 9.420 1.930 0.015
Cr 4.217 -3.692 3.165
Cr 6.366 -3.682 0.078
Cr 9.420 -1.930 0.015
In 6.304 7.380 2.305
In 2.145 0.000 3.840
In 5.212 5.389 6.006
In 6.276 0.000 2.332
In 6.304 -7.380 2.305
In 5.212 -5.389 6.006
In 10.410 0.000 3.145
S 5.118 9.377 1.349
S 3.246 9.308 4.813
S 0.053 3.547 4.831
S 2.330 3.578 1.570
S 2.049 0.000 1.321
S -0.152 0.000 4.786
S 3.113 5.263 4.518
S 5.235 5.243 1.551
S 5.085 2.061 1.496
S 3.299 2.070 4.662
S 0.053 -3.547 4.831
S 2.330 -3.578 1.570
S 8.311 3.501 1.393
S 6.159 3.514 4.518
S 5.085 -2.061 1.496
S 3.299 -2.070 4.662
S 3.113 -5.263 4.518
S 5.235 -5.243 1.551
S 8.539 0.000 1.296
S 6.339 0.000 4.834
S 8.311 -3.501 1.393
S 6.159 -3.514 4.518
S 5.118 -9.377 1.349
S 3.246 -9.308 4.813
```

---

Record 2
The following is a PBE calculation of Ti6Al16Os7 after structural relaxation, from the Materials Project.

Properties
Calculated formation energy in eV/atom: -0.467
Volume in Å³ per cell: 452.6
Density in g/cm³: 7.5

Geometry as extended XYZ:
```
29
Lattice="0.000 6.094 6.094 6.094 0.000 6.094 6.094 6.094 0.000" Properties=species:S:1:pos:R:3 pbc="T T T"
Ti 6.094 6.094 2.680
Ti 6.094 2.680 6.094
Ti 9.507 6.094 6.094
Ti 2.680 6.094 6.094
Ti 6.094 9.507 6.094
Ti 6.094 6.094 9.507
Al 7.571 4.616 4.616
Al 1.893 1.893 1.893
Al 4.200 4.200 1.893
Al 4.200 1.893 4.200
Al 4.616 4.616 4.616
Al 7.571 7.571 4.616
Al 7.571 4.616 7.571
Al 10.294 7.987 7.987
Al 1.893 4.200 4.200
Al 4.616 7.571 4.616
Al 4.616 4.616 7.571
Al 7.571 7.571 7.571
Al 7.987 10.294 7.987
Al 7.987 7.987 10.294
Al 10.294 10.294 10.294
Al 4.616 7.571 7.571
Os 3.047 3.047 0.000
Os 3.047 0.000 3.047
Os 6.094 3.047 3.047
Os 0.000 3.047 3.047
Os 3.047 6.094 3.047
Os 3.047 3.047 6.094
Os 6.094 6.094 6.094
```

---

Record 3
The following is a PBE calculation of La4SiI5 after structural relaxation, from the Materials Project.

Properties
Calculated formation energy in eV/atom: -1.523
Volume in Å³ per cell: 401.1
Density in g/cm³: 5.0

Geometry as extended XYZ:
```
10
Lattice="10.014 -2.220 0.000 10.014 2.220 0.000 -2.003 0.000 9.020" Properties=species:S:1:pos:R:3 pbc="T T T"
La -0.547 0.000 2.591
La 6.214 0.000 3.819
La 11.811 0.000 5.201
La 18.571 0.000 6.429
Si 9.012 0.000 4.510
I 1.630 0.000 7.553
I 2.788 0.000 2.983
I 10.014 0.000 0.000
I 15.237 0.000 6.038
I 16.394 0.000 1.467
```

---

Record 4
The following is a PBE calculation of Na3Mg3SnPS5O24 after structural relaxation, from the Materials Project.

Properties
Calculated formation energy in eV/atom: -2.315
Volume in Å³ per cell: 1498.8
Density in g/cm³: 2.8

Geometry as extended XYZ:
```
111
Lattice="8.729 0.000 0.000 4.345 7.596 0.000 0.040 0.110 22.604" Properties=species:S:1:pos:R:3 pbc="T T T"
Na 0.000 0.000 0.000
Na 3.085 5.289 9.334
Na 3.183 5.165 20.707
Na 2.022 2.625 18.697
Na 4.383 2.524 7.546
Na 7.492 7.597 16.708
Na 7.556 7.539 5.638
Na 7.471 2.642 1.813
Na 7.565 2.651 13.058
Mg 3.112 5.186 6.026
Mg 3.114 5.019 1.475
Mg 3.218 5.153 17.234
Mg 3.131 0.073 13.575
Mg 7.537 7.605 2.253
Mg 7.549 7.583 9.014
Mg 7.584 7.655 20.313
Mg 7.514 2.684 21.114
Mg 7.540 2.522 9.812
Sn 3.185 5.081 12.773
Sn 7.535 2.664 16.434
Sn 7.516 2.526 5.242
P 1.925 2.877 15.102
P 5.739 5.175 15.060
P 6.243 0.310 7.548
S 4.446 7.314 3.696
S 0.625 0.056 11.268
S 1.926 2.348 22.531
S 4.429 2.856 3.750
S 4.452 2.275 11.250
S 6.272 5.479 22.579
S 6.257 4.815 7.506
S 4.994 2.618 18.828
S 8.808 5.421 11.284
S 10.109 7.701 22.571
S 8.823 4.881 18.828
S 9.309 5.076 3.736
S 10.601 7.353 15.054
S 8.815 0.380 18.846
S 10.101 2.566 7.522
O 3.865 6.740 2.460
O 3.809 6.668 18.668
O 2.265 3.741 7.340
O 2.415 3.526 16.395
O 4.070 6.401 11.362
O 2.477 3.584 0.081
O 4.154 6.523 4.884
O 1.427 0.191 12.476
O 2.128 1.361 1.087
O 1.570 0.287 18.937
O 2.224 1.362 7.649
O 2.476 1.751 21.283
O 5.770 7.436 10.058
O 5.906 7.496 3.577
O 3.789 3.661 11.332
O 2.575 1.525 14.905
O 4.739 5.251 0.108
O 4.889 5.345 16.293
O 3.925 3.465 4.995
O 4.130 3.819 18.692
O 4.783 4.858 7.312
O 4.180 3.682 2.567
O 4.908 4.892 13.758
O 6.473 6.321 21.373
O 3.891 1.701 10.008
O 3.864 1.498 3.616
O 6.670 6.357 14.882
O 6.811 6.160 7.638
O 4.111 1.425 18.939
O 4.152 1.486 12.435
O 6.809 6.003 1.167
O 6.513 3.934 8.643
O 5.860 2.800 19.980
O 5.961 2.744 3.807
O 6.596 3.834 15.123
O 5.797 2.371 17.575
O 6.902 4.259 6.234
O 5.913 2.478 11.148
O 6.868 4.131 22.428
O 4.703 0.217 7.639
O 8.212 6.205 18.964
O 4.907 0.188 1.163
O 8.285 6.053 12.488
O 8.416 6.244 3.606
O 9.166 7.513 14.876
O 9.305 7.508 21.355
O 8.603 6.211 10.067
O 6.359 1.233 6.211
O 8.211 4.286 17.580
O 6.665 1.302 22.442
O 8.250 4.055 11.149
O 8.429 3.812 3.839
O 6.871 1.049 8.703
O 6.902 1.126 15.156
O 8.589 3.985 19.973
O 10.117 5.217 4.942
O 10.875 6.563 16.243
O 10.975 6.397 0.093
O 10.105 4.849 2.525
O 10.348 5.299 11.376
O 11.245 6.797 13.817
O 10.297 4.977 18.672
O 11.242 6.542 7.341
O 9.072 2.713 15.147
O 8.185 1.108 3.799
O 9.227 2.798 8.651
O 8.253 1.028 20.047
O 8.470 1.236 11.152
O 9.160 2.454 22.417
O 8.614 1.284 17.636
O 9.320 2.328 6.234
O 10.801 3.800 13.843
```

---

Record 5
The following is a PBE calculation of AlGe3 after structural relaxation, from the Materials Project.

Properties
Calculated formation energy in eV/atom: 0.251
Volume in Å³ per cell: 74.9
Density in g/cm³: 5.4

Geometry as extended XYZ:
```
4
Lattice="-2.024 2.024 4.573 2.024 -2.024 4.573 2.024 2.024 -4.573" Properties=species:S:1:pos:R:3 pbc="T T T"
Al 0.000 0.000 0.000
Ge 2.024 0.000 2.287
Ge 0.000 0.000 4.573
Ge 0.000 2.024 2.287
```

---

Record 6
The following is a PBE calculation of Sr3TiRuO7 after structural relaxation, from the Materials Project.

Properties
Calculated formation energy in eV/atom: -2.922
Volume in Å³ per cell: 160.6
Density in g/cm³: 5.4

Geometry as extended XYZ:
```
12
Lattice="-1.974 1.974 10.308 1.974 -1.974 10.308 1.974 1.974 -10.308" Properties=species:S:1:pos:R:3 pbc="T T T"
Sr 0.000 0.000 0.000
Sr 0.000 0.000 3.756
Sr 0.000 0.000 16.760
Ti 0.000 0.000 12.298
Ru 0.000 0.000 8.267
O 1.974 0.000 1.960
O 0.000 0.000 6.213
O 1.974 0.000 8.289
O 0.000 0.000 10.311
O 0.000 1.974 1.960
O 0.000 0.000 14.260
O 0.000 1.974 8.289
```